This record from Materials Project describes a relaxed structure of CsMnP6O18. The functional is PBE with a Hubbard U.

a = 5.3320 Å, b = 9.0898 Å, c = 9.3981 Å
α = 82.66°, β = 75.30°, γ = 74.44°
Last column: nearest neighbours and their distance in Å.
Space group P-1 (No. 2)
Asymmetric unit:
Cs: 0.0000 0.0000 0.0000 [1 per cell]  4 O 3.03-3.39
Mn: 0.5000 0.0000 0.5000 [1 per cell]  4 O 1.94-1.99
P: 0.1395 0.7843 0.4574 [2 per cell]  4 O 1.50-1.62
P: 0.2503 0.2390 0.2556 [2 per cell]  4 O 1.47-1.62
P: 0.3752 0.5540 0.2294 [2 per cell]  4 O 1.51-1.61
O: 0.0333 0.7273 0.6255 [2 per cell]  2 P 1.61-1.62
O: 0.0727 0.0994 0.6026 [2 per cell]  1 P 1.50
O: 0.2034 0.6236 0.3833 [2 per cell]  2 P 1.61-1.62
O: 0.2134 0.2334 0.1064 [2 per cell]  1 P 1.47
O: 0.2594 0.6300 0.0996 [2 per cell]  1 P 1.51
O: 0.3395 0.4313 0.8034 [2 per cell]  1 P 1.51
O: 0.3627 0.3824 0.2733 [2 per cell]  2 P 1.58-1.62
O: 0.4055 0.8196 0.4475 [2 per cell]  1 P 1.51
O: 0.4424 0.1005 0.3122 [2 per cell]  1 P 1.53

Output
**Spin magnetization**: 5.99 μB per cell
**Uncorrected energy**: -179.67 eV for the cell shown
**Crystal system**: triclinic